Entry 1:
Here is a relaxed structure of Mg3Si2O9 from Materials Project. Energies are from GGA-PBE.

Calculated values
**Energy**: -6.38 eV per atom
**Theoretical density**: 1147 kg/m3
**Formation enthalpy at 0 K**: -2948 kJ/mol of formula units
**Space group**: Cm
**E above lowest polymorph**: 281 meV per atom

Structure (extended XYZ):
```
14
Lattice="4.890 2.661 0.000 -4.890 2.661 0.000 0.000 0.359 15.188" Properties=species:S:1:pos:R:3 pbc="T T T"
Mg 0.000 1.992 3.521
Mg -2.994 1.888 3.400
Mg 2.994 1.888 3.400
Si 1.595 2.706 0.554
Si -1.595 2.706 0.554
O 0.000 2.693 0.044
O 2.445 1.374 0.046
O -2.445 1.374 0.046
O 1.578 2.715 2.202
O -1.578 2.715 2.202
O 0.000 4.946 2.849
O 0.000 4.060 3.988
O -1.531 0.988 4.276
O 1.531 0.988 4.276
```

---

Entry 2:
Here is a relaxed structure of Mg2Si3O9 from Materials Project. Energies are from GGA-PBE.

Calculated values
**Energy**: -6.98 eV per atom
**Theoretical density**: 2458 kg/m3
**Formation enthalpy at 0 K**: -3853 kJ/mol of formula units
**Space group**: P2_1/c

Structure (extended XYZ):
```
112
Lattice="-0.023 0.000 5.336 0.000 11.739 0.000 -23.890 0.000 -0.284" Properties=species:S:1:pos:R:3 pbc="T T T"
Mg -12.540 6.244 1.203
Mg -0.606 11.364 4.013
Mg -11.373 5.494 3.850
Mg -23.306 0.375 1.039
Mg -14.004 7.135 3.910
Mg -2.048 10.473 1.384
Mg -9.908 4.604 1.142
Mg -21.865 1.266 3.669
Mg -15.486 8.004 1.289
Mg -3.553 9.605 4.099
Mg -8.426 3.735 3.763
Mg -20.360 2.134 0.953
Mg -16.658 8.708 3.967
Mg -4.702 8.900 1.441
Mg -7.254 3.031 1.085
Mg -19.210 2.839 3.611
Si -14.041 3.904 4.724
Si -2.085 1.965 2.197
Si -9.871 7.834 0.329
Si -21.828 9.774 2.855
Si -16.695 5.479 4.868
Si -4.739 0.391 2.342
Si -7.217 6.260 0.184
Si -19.173 11.348 2.710
Si -18.034 6.228 2.225
Si -6.101 11.380 5.035
Si -5.878 5.511 2.828
Si -17.812 0.358 0.017
Si -11.209 8.639 2.996
Si -23.142 8.970 0.186
Si -12.704 3.100 2.056
Si -0.771 2.769 4.867
Si -13.850 10.296 3.016
Si -1.894 7.312 0.490
Si -10.063 1.443 2.036
Si -22.019 4.427 4.562
Si -15.091 11.055 0.306
Si -3.158 6.554 3.116
Si -8.821 0.684 4.746
Si -20.755 5.185 1.936
O -13.216 5.330 4.712
O -1.260 0.539 2.186
O -10.696 6.408 0.340
O -22.653 11.200 2.866
O -14.392 6.430 2.011
O -2.459 11.179 4.821
O -9.521 5.309 3.041
O -21.454 0.560 0.231
O -15.944 6.935 4.795
O -3.988 10.673 2.269
O -7.968 4.803 0.257
O -19.925 1.066 2.783
O -17.245 7.650 2.318
O -5.312 9.958 5.128
O -6.667 4.089 2.735
O -18.600 1.780 -0.076
O -13.622 3.017 0.703
O -1.689 2.852 3.513
O -10.290 8.721 4.349
O -22.224 8.887 1.539
O -15.645 4.238 4.746
O -3.688 1.631 2.220
O -8.268 7.501 0.306
O -20.224 10.108 2.832
O -17.484 5.353 0.941
O -5.551 0.516 3.751
O -6.429 6.385 4.112
O -18.362 11.223 1.301
O -17.773 5.317 3.612
O -5.817 0.553 1.086
O -6.139 6.422 1.440
O -18.095 11.186 3.966
O -19.650 6.399 2.063
O -7.716 11.209 4.874
O -4.263 5.340 2.989
O -16.196 0.530 0.179
O -18.433 8.396 5.063
O -6.477 9.212 2.536
O -5.479 3.342 -0.010
O -17.435 2.527 2.516
O -12.059 7.229 3.037
O -0.102 10.380 0.511
O -11.854 4.510 2.015
O -23.810 1.359 4.541
O -13.577 7.827 0.470
O -1.644 9.782 3.281
O -10.335 3.912 4.582
O -22.268 1.957 1.771
O -14.803 8.942 3.059
O -2.846 8.666 0.533
O -9.110 2.797 1.993
O -21.066 3.072 4.519
O -15.907 9.643 0.245
O -3.973 7.965 3.055
O -8.006 2.096 4.807
O -19.939 3.774 1.997
O -10.237 8.675 1.681
O -22.193 8.933 4.207
O -13.675 3.064 3.371
O -1.719 2.806 0.845
O -12.267 9.881 2.918
O -0.311 7.727 0.392
O -11.645 1.858 2.134
O -23.601 4.012 4.660
O -14.263 11.199 1.716
O -2.330 6.409 4.526
O -9.650 0.539 3.336
O -21.583 5.330 0.526
O -14.073 11.172 4.379
O -2.116 6.437 1.853
O -9.840 0.567 0.673
O -21.796 5.302 3.199
```

---

Entry 3:
Here is a relaxed structure of Mg3Si2O9 from Materials Project. Energies are from GGA-PBE.

Calculated values
**Energy**: -6.31 eV per atom
**Theoretical density**: 2456 kg/m3
**Formation enthalpy at 0 K**: -3310 kJ/mol of formula units
**Space group**: P6_3cm
**E above lowest polymorph**: 13 meV per atom

Structure (extended XYZ):
```
28
Lattice="2.416 3.114 3.716 -5.359 -0.769 0.181 1.957 -11.640 8.482" Properties=species:S:1:pos:R:3 pbc="T T T"
Mg 2.104 -1.248 4.766
Mg -0.499 -2.421 3.757
Mg -2.906 -3.750 2.488
Mg 2.385 -7.967 7.934
Mg -0.371 -7.563 9.124
Mg -0.380 -9.348 6.677
Si 0.753 -3.702 6.561
Si -1.839 -4.996 5.383
Si -0.860 -10.816 9.624
Si 1.731 -9.522 10.802
O 0.532 -2.386 5.602
O -2.060 -3.680 4.424
O -1.082 -9.500 8.665
O 1.510 -8.205 9.843
O 2.219 -4.375 6.207
O -0.458 -4.784 6.264
O -1.704 -6.334 4.424
O 1.219 1.417 1.933
O -1.463 1.057 2.058
O -2.634 -0.507 0.182
O 1.166 -1.583 2.985
O -1.616 -0.909 4.552
O -1.214 -2.772 1.904
O 3.082 -6.195 8.668
O 0.504 -7.639 7.282
O -2.314 -8.890 6.215
O 0.651 -3.873 2.822
O 1.629 -9.693 7.063
```

---

Entry 4:
Here is a relaxed structure of Mg3Si2O9 from Materials Project. Energies are from GGA-PBE.

Calculated values
**Energy**: -6.31 eV per atom
**Theoretical density**: 2440 kg/m3
**Formation enthalpy at 0 K**: -3310 kJ/mol of formula units
**Space group**: Cm
**E above lowest polymorph**: 13 meV per atom

Structure (extended XYZ):
```
14
Lattice="4.701 2.700 0.000 -4.701 2.700 0.000 0.000 0.436 7.323" Properties=species:S:1:pos:R:3 pbc="T T T"
Mg 0.000 5.106 4.003
Mg -1.674 2.227 4.025
Mg 1.674 2.227 4.025
Si 3.135 3.184 6.845
Si -3.135 3.184 6.845
O 0.000 0.041 0.046
O -2.345 1.399 0.048
O 2.345 1.399 0.048
O 3.138 3.186 5.193
O -3.138 3.186 5.193
O 0.000 3.186 4.794
O 0.000 1.552 3.106
O -1.447 4.015 3.106
O 1.447 4.015 3.106
```

---

Entry 5:
Here is a relaxed structure of MgSi2SnO6 from Materials Project. Energies are from GGA-PBE.

Calculated values
**Energy**: -7.06 eV per atom
**Theoretical density**: 4007 kg/m3
**Formation enthalpy at 0 K**: -2761 kJ/mol of formula units
**Space group**: Pbca
**E above lowest polymorph**: 0 meV per atom

Structure (extended XYZ):
```
80
Lattice="5.447 0.000 0.000 0.000 9.252 0.000 0.000 0.000 19.416" Properties=species:S:1:pos:R:3 pbc="T T T"
Mg 3.379 1.373 7.272
Mg 2.068 7.879 12.144
Mg 3.379 5.999 2.436
Mg 0.656 7.879 2.436
Mg 4.791 1.373 16.980
Mg 2.068 3.253 16.980
Mg 0.656 3.253 7.272
Mg 4.791 5.999 12.144
Si 2.852 6.108 14.857
Si 3.790 7.761 9.394
Si 4.380 7.761 19.102
Si 5.318 1.481 4.559
Si 0.129 3.145 14.267
Si 2.595 7.771 5.149
Si 1.067 6.118 9.394
Si 3.790 3.135 0.314
Si 4.380 3.135 10.022
Si 5.318 6.108 5.149
Si 2.595 3.145 4.559
Si 2.852 1.481 14.267
Si 1.657 1.492 10.022
Si 0.129 7.771 14.857
Si 1.657 6.118 19.102
Si 1.067 1.492 0.314
Sn 2.060 8.962 17.081
Sn 3.387 0.291 2.335
Sn 4.783 0.291 12.043
Sn 0.664 8.962 7.373
Sn 2.060 4.336 12.043
Sn 3.387 4.917 7.373
Sn 4.783 4.917 17.081
Sn 0.664 4.336 2.335
O 5.252 4.684 5.928
O 1.252 0.062 1.040
O 0.195 4.569 13.488
O 3.843 3.067 18.073
O 1.120 1.560 18.073
O 5.079 2.179 0.802
O 5.222 6.115 3.496
O 0.225 7.764 13.204
O 3.843 7.693 11.051
O 5.222 1.489 6.212
O 2.528 4.569 3.780
O 4.327 3.067 8.365
O 4.195 9.190 18.376
O 2.499 7.764 3.496
O 2.919 0.057 13.488
O 1.252 4.689 8.668
O 2.528 9.195 5.928
O 1.263 6.881 5.620
O 1.460 6.881 15.328
O 3.091 6.806 18.614
O 4.327 7.693 1.343
O 2.948 6.115 13.204
O 3.976 4.564 1.040
O 1.263 2.255 4.088
O 1.604 1.560 8.365
O 2.948 1.489 15.921
O 4.195 4.564 10.748
O 1.120 6.186 11.051
O 1.471 4.689 18.376
O 3.987 6.998 5.620
O 0.195 9.195 15.636
O 4.184 6.998 15.328
O 4.184 2.372 13.796
O 3.976 9.190 8.668
O 1.604 6.186 1.343
O 1.471 0.062 10.748
O 1.460 2.255 13.796
O 0.368 7.073 18.614
O 2.356 7.073 8.906
O 3.987 2.372 4.088
O 2.356 2.447 0.802
O 3.091 2.179 10.510
O 0.368 2.447 10.510
O 2.499 3.137 6.212
O 2.919 4.684 15.636
O 5.079 6.806 8.906
O 0.225 3.137 15.921
O 5.252 0.057 3.780
```

---

Entry 6:
Here is a relaxed structure of Mg14SiSnO16 from Materials Project. Energies are from GGA-PBE.

Calculated values
**Energy**: -5.82 eV per atom
**Theoretical density**: 3695 kg/m3
**Formation enthalpy at 0 K**: -8331 kJ/mol of formula units
**Space group**: Pmmm
**E above lowest polymorph**: 0 meV per atom

Structure (extended XYZ):
```
32
Lattice="-1.542 -7.946 -3.383 -1.017 -3.205 7.992 -4.291 0.910 -0.181" Properties=species:S:1:pos:R:3 pbc="T T T"
Mg -0.771 -3.973 -1.692
Mg -1.280 -5.576 2.304
Mg -2.407 -0.369 1.965
Mg -2.901 -1.926 5.845
Mg -3.173 -4.324 0.227
Mg -3.678 -5.917 4.200
Mg -2.546 -1.610 -0.970
Mg -3.047 -3.169 3.045
Mg -3.287 -5.426 -2.595
Mg -3.804 -7.073 1.382
Mg -0.656 -2.863 1.157
Mg -1.157 -4.441 5.090
Mg -1.403 -6.711 -0.482
Mg -1.904 -8.288 3.452
Si -0.509 -1.602 3.996
Sn 0.000 0.000 0.000
O -0.420 -2.166 -0.922
O -0.920 -3.721 3.094
O -1.122 -5.780 -2.461
O -1.640 -7.431 1.514
O -2.786 -2.333 1.064
O -3.294 -3.933 5.055
O -3.557 -6.308 -0.628
O -4.065 -7.909 3.363
O -2.146 0.455 -0.091
O -2.654 -1.147 3.905
O -2.917 -3.518 -1.782
O -3.425 -5.121 2.214
O -0.280 -0.883 2.201
O -0.737 -2.322 5.791
O -1.027 -4.780 0.321
O -1.532 -6.371 4.288
```

---

Entry 7:
Here is a relaxed structure of MgSi4SnO10 from Materials Project. Energies are from GGA-PBE.

Calculated values
**Energy**: -7.34 eV per atom
**Theoretical density**: 3138 kg/m3
**Formation enthalpy at 0 K**: -4579 kJ/mol of formula units
**Space group**: P4/ncc

Structure (extended XYZ):
```
64
Lattice="7.643 0.000 0.000 0.000 7.643 0.000 0.000 0.000 15.051" Properties=species:S:1:pos:R:3 pbc="T T T"
Mg 1.911 5.732 7.525
Mg 5.732 1.911 7.525
Mg 5.732 1.911 0.000
Mg 1.911 5.732 0.000
Si 6.784 3.740 9.758
Si 4.680 0.082 9.758
Si 7.561 2.963 12.818
Si 3.740 4.680 9.758
Si 0.082 6.784 9.758
Si 0.859 7.561 12.818
Si 2.963 3.903 12.818
Si 3.903 0.859 12.818
Si 0.859 3.903 5.292
Si 2.963 7.561 5.292
Si 0.082 4.680 2.233
Si 3.903 2.963 5.292
Si 7.561 0.859 5.292
Si 6.784 0.082 2.233
Si 4.680 3.740 2.233
Si 3.740 6.784 2.233
Sn 1.911 1.911 8.993
Sn 5.732 5.732 13.583
Sn 5.732 5.732 6.057
Sn 1.911 1.911 1.468
O 7.263 2.639 8.672
O 4.201 1.182 8.672
O 6.460 3.441 13.904
O 2.639 4.201 8.672
O 1.182 7.263 8.672
O 0.380 6.460 13.904
O 3.441 5.004 13.904
O 5.004 0.380 13.904
O 0.380 5.004 6.379
O 3.441 6.460 6.379
O 1.182 4.201 1.146
O 5.004 3.441 6.379
O 6.460 0.380 6.379
O 7.263 1.182 1.146
O 4.201 2.639 1.146
O 0.125 2.462 5.510
O 2.639 7.263 1.146
O 3.946 6.283 9.541
O 1.359 3.696 13.035
O 5.181 3.946 9.541
O 6.283 7.518 9.541
O 0.125 1.359 13.035
O 3.696 2.462 13.035
O 2.462 0.125 13.035
O 3.262 7.084 3.763
O 4.381 3.262 3.763
O 7.084 0.559 3.763
O 0.559 4.381 3.763
O 4.381 0.559 11.288
O 3.262 4.381 11.288
O 0.559 7.084 11.288
O 7.084 3.262 11.288
O 5.181 7.518 2.016
O 3.946 5.181 2.016
O 7.518 6.283 2.016
O 1.359 0.125 5.510
O 2.462 3.696 5.510
O 6.283 3.946 2.016
O 3.696 1.359 5.510
O 7.518 5.181 9.541
```

---

Entry 8:
Here is a relaxed structure of MgSi2SnO6 from Materials Project. Energies are from GGA-PBE.

Calculated values
**Energy**: -7.05 eV per atom
**Theoretical density**: 3560 kg/m3
**Formation enthalpy at 0 K**: -2745 kJ/mol of formula units
**Space group**: C2/c
**E above lowest polymorph**: 16 meV per atom

Structure (extended XYZ):
```
20
Lattice="4.912 5.402 0.000 -4.912 5.402 0.000 0.000 1.862 5.188" Properties=species:S:1:pos:R:3 pbc="T T T"
Mg 2.199 5.868 1.297
Mg -2.199 6.799 3.891
Si 0.921 9.242 4.047
Si 0.921 4.356 3.735
Si -0.921 8.311 1.453
Si -0.921 3.425 1.141
Sn 3.553 6.799 3.891
Sn -3.553 5.868 1.297
O -0.035 8.647 2.826
O -0.035 4.951 4.956
O 0.035 4.020 2.362
O 0.035 7.716 0.232
O 1.921 8.058 4.570
O 1.921 5.539 3.212
O -1.921 4.608 0.618
O -1.921 7.127 1.976
O 3.200 4.211 0.899
O 3.200 7.525 1.695
O -3.200 5.142 3.493
O -3.200 8.456 4.289
```

---

Which of these has the highest formation enthalpy at 0 K?
number 8